A plane-wave DFT calculation with PBE was carried out for NaLaScNbO6 after structural relaxation.

The structure in CIF format:
```
data_NaLaScNbO6
_chemical_formula_sum 'Na4 La4 Sc4 Nb4 O24'
_space_group_name_H-M_alt 'C 1 2/m 1'
_space_group_IT_number 12
_cell_length_a 8.004
_cell_length_b 8.096
_cell_length_c 8.130
_cell_angle_alpha 90.00
_cell_angle_beta 90.39
_cell_angle_gamma 90.00
loop_
_space_group_symop_operation_xyz
'x,y,z'
'-x,-y,-z'
'-x,y,-z'
'x,-y,z'
'x+1/2,y+1/2,z'
'-x+1/2,-y+1/2,-z'
'-x+1/2,y+1/2,-z'
'x+1/2,-y+1/2,z'
loop_
_atom_site_label
_atom_site_fract_x
_atom_site_fract_y
_atom_site_fract_z
Na1 0.000 0.235 0.000
La1 0.000 0.242 0.500
Sc1 0.244 0.500 0.247
Nb1 0.248 0.000 0.237
O1 0.003 0.000 0.205
O2 0.008 0.500 0.681
O3 0.185 0.000 0.500
O4 0.197 0.500 0.992
O5 0.246 0.244 0.279
```

Summary:
- Energy relative to the elements: -329.2 kJ/mol of atoms
- Magnetic moment: 0.0 Bohr magnetons per cell